Record 1
First-principles (PBE+U) data for Li5Co4O8 after structural relaxation, as listed in the Materials Project database.

Summary:
M_tot in μB per atom: 0.12
Space group: P1 (1)
Total DFT energy (no corrections) in eV/atom: -5.488
Formation energy from the elements in eV per formula unit: -27.8

```
34
Lattice="5.800 0.000 0.000 2.899 5.037 0.000 0.011 0.003 9.542" Properties=species:S:1:pos:R:3 pbc="T T T"
Li 0.000 0.000 0.000
Li 1.230 2.116 9.538
Li 1.236 0.706 7.431
Li 2.903 3.033 4.772
Li 5.339 5.033 0.010
Li 4.130 2.324 2.677
Li 4.125 0.915 4.768
Li 5.346 3.035 4.784
Li 7.026 4.038 0.753
Li 7.031 4.028 5.522
Co 1.221 0.656 5.074
Co 2.695 3.209 7.368
Co 4.114 2.376 0.305
Co 5.563 4.858 2.601
Co 5.569 3.209 7.371
Co 4.133 0.713 7.368
Co 7.026 2.320 2.598
Co 8.488 4.858 2.599
O 2.646 3.193 1.510
O 1.227 0.657 1.576
O 2.579 1.436 3.710
O 4.124 4.113 3.703
O 2.773 1.595 8.474
O 4.130 3.957 8.471
O 4.132 2.373 6.346
O 5.614 4.871 6.279
O 4.125 0.632 1.520
O 5.608 3.195 1.509
O 5.485 1.597 8.478
O 7.032 4.059 8.381
O 7.026 4.010 3.610
O 5.668 1.437 3.707
O 8.449 4.873 6.281
O 7.030 2.400 6.290
```

=====

Record 2
First-principles (PBE+U) data for Li21Co4O16 after structural relaxation, as listed in the Materials Project database.

Summary:
M_tot in μB per atom: 0.37
Space group: Pc (7)
Total DFT energy (no corrections) in eV/atom: -5.069
Formation energy from the elements in eV per formula unit: -77.7

```
82
Lattice="9.089 0.000 0.000 0.000 9.374 0.000 -0.032 0.000 9.432" Properties=species:S:1:pos:R:3 pbc="T T T"
Li -0.016 0.857 4.716
Li 0.000 8.518 0.000
Li 0.187 3.440 0.182
Li 0.171 5.934 4.898
Li 0.254 1.119 2.196
Li 0.238 8.255 6.912
Li 2.156 3.618 4.991
Li 2.172 5.756 0.276
Li 2.227 1.360 4.671
Li 2.211 8.014 9.386
Li 2.273 1.247 6.997
Li 2.289 8.128 2.281
Li 2.373 3.721 2.450
Li 2.357 5.653 7.166
Li 2.656 3.475 9.370
Li 2.672 5.899 4.654
Li 2.732 1.230 2.405
Li 2.716 8.144 7.120
Li 4.264 3.421 7.313
Li 4.280 5.954 2.597
Li 4.512 1.206 4.600
Li 4.496 8.168 9.316
Li 4.665 1.200 0.165
Li 4.649 8.174 4.881
Li 4.675 0.984 7.115
Li 4.691 8.390 2.399
Li 4.827 3.422 2.151
Li 4.811 5.952 6.867
Li 6.747 3.618 7.020
Li 6.763 5.756 2.304
Li 6.820 3.667 0.144
Li 6.804 5.707 4.860
Li 6.834 1.329 5.094
Li 6.850 8.045 0.378
Li 7.110 1.199 9.263
Li 7.126 8.176 4.547
Li 8.714 3.404 4.670
Li 8.698 5.970 9.386
Li 8.859 1.107 7.289
Li 8.875 8.267 2.573
Li 8.941 3.323 2.433
Li 8.925 6.052 7.149
Co 0.218 3.573 7.127
Co 0.234 5.801 2.411
Co 2.140 1.111 0.012
Co 2.124 8.264 4.728
Co 4.731 3.718 4.759
Co 4.747 5.656 0.043
Co 6.758 1.120 2.441
Co 6.742 8.254 7.156
O 0.939 2.325 5.909
O 0.955 7.049 1.193
O 1.043 4.640 3.634
O 1.027 4.735 8.350
O 1.279 0.096 3.443
O 1.263 9.278 8.159
O 1.397 2.435 1.298
O 1.381 6.939 6.013
O 3.359 0.127 5.789
O 3.375 9.247 1.073
O 3.417 2.066 8.311
O 3.433 7.308 3.595
O 3.438 2.597 3.712
O 3.422 6.777 8.428
O 3.524 4.691 1.197
O 3.508 4.683 5.913
O 5.468 2.468 5.913
O 5.484 6.906 1.197
O 5.543 4.615 8.260
O 5.559 4.760 3.544
O 5.832 0.101 3.696
O 5.816 9.273 8.412
O 5.986 2.189 1.171
O 5.971 7.186 5.887
O 7.949 0.040 1.302
O 7.933 9.334 6.018
O 8.064 2.015 3.545
O 8.048 7.360 8.260
O 8.077 2.639 8.249
O 8.093 6.735 3.533
O 8.190 4.663 6.014
O 8.206 4.711 1.298
```

=====

Record 3
First-principles (PBE+U) data for Li6CoO4 after structural relaxation, as listed in the Materials Project database.

Summary:
Total DFT energy (no corrections) in eV/atom: -5.029
Formation energy from the elements in eV per formula unit: -21.4

```
44
Lattice="4.698 0.000 6.594 -4.698 6.594 0.000 -4.698 -6.594 0.000" Properties=species:S:1:pos:R:3 pbc="T T T"
Li -3.753 1.648 1.648
Li 3.524 0.213 6.381
O 0.172 3.385 4.945
Li -3.524 -3.084 3.084
O 0.172 -0.088 4.945
Li -1.175 0.213 3.509
Li -1.175 0.213 6.381
Li -1.175 -3.509 3.509
Co -1.175 -1.648 1.648
Li -3.524 -0.213 3.084
O -2.521 1.648 3.209
O -4.526 -0.088 4.945
Li -5.873 0.213 3.509
Li -3.524 -3.084 0.213
O -2.177 -1.648 6.506
O -2.521 -4.945 3.209
Li 1.404 -1.648 4.945
Li -1.175 3.084 3.509
Co -5.873 -1.648 1.648
Li -1.175 -3.509 6.381
O 2.521 -1.648 6.506
Li -8.222 -0.213 0.213
O -0.172 0.088 1.648
Li 1.175 -0.213 3.084
Li -1.404 1.648 1.648
O 0.172 -3.209 4.945
O -4.870 3.209 1.648
Li -6.102 1.648 1.648
O -4.870 0.088 1.648
Li -1.175 3.084 6.381
Li -3.524 -0.213 0.213
Li -0.946 -1.648 4.945
O -2.177 -1.648 3.385
Li -3.524 3.509 3.084
Li -3.753 -4.945 1.648
O -2.521 1.648 0.088
O -4.870 -3.385 1.648
O -2.177 4.945 3.385
Li -3.295 -1.648 4.945
Co -3.524 1.648 4.945
Li -0.946 4.945 4.945
Co 1.175 1.648 4.945
O -7.219 1.648 0.088
Li -3.524 3.509 0.213
```

=====

Record 4
First-principles (PBE+U) data for Li4CoO4 after structural relaxation, as listed in the Materials Project database.

Summary:
M_tot in μB per atom: 0.56
Space group: Pnnm (58)
Total DFT energy (no corrections) in eV/atom: -5.132
Formation energy from the elements in eV per formula unit: -16.0

```
36
Lattice="6.712 0.000 0.000 0.000 9.216 0.000 0.000 0.000 6.312" Properties=species:S:1:pos:R:3 pbc="T T T"
Li 0.255 1.202 1.557
Li 0.255 1.202 4.755
Li 1.215 5.416 0.000
Li 1.673 7.554 3.156
Li 1.683 2.946 0.000
Li 2.141 0.808 3.156
Li 3.101 5.811 1.599
Li 3.101 5.811 4.713
Li 3.611 3.406 1.599
Li 3.611 3.406 4.713
Li 4.571 8.408 3.156
Li 5.029 6.270 0.000
Li 5.039 1.662 3.156
Li 5.497 3.800 0.000
Li 6.457 8.014 1.557
Li 6.457 8.014 4.755
Co 1.622 3.451 3.156
Co 1.734 8.059 0.000
Co 4.978 1.157 0.000
Co 5.090 5.765 3.156
O 0.170 7.035 0.000
O 0.333 2.201 3.156
O 1.542 8.927 1.580
O 1.542 8.927 4.732
O 1.814 4.318 1.576
O 1.814 4.318 4.736
O 3.023 6.809 0.000
O 3.186 2.427 3.156
O 3.527 6.790 3.156
O 3.689 2.407 0.000
O 4.898 4.898 1.576
O 4.898 4.898 4.736
O 5.170 0.290 1.580
O 5.170 0.290 4.732
O 6.379 7.015 3.156
O 6.542 2.182 0.000
```

=====

Record 5
First-principles (PBE+U) data for LiCo2O4 after structural relaxation, as listed in the Materials Project database.

Summary:
M_tot in μB per atom: 0.14
Space group: P1 (1)
Total DFT energy (no corrections) in eV/atom: -5.737
Formation energy from the elements in eV per formula unit: -10.3

```
56
Lattice="8.184 0.000 0.000 0.058 8.254 0.000 0.035 0.056 8.263" Properties=species:S:1:pos:R:3 pbc="T T T"
Li 0.000 0.000 0.000
Li 0.058 4.173 4.122
Li 2.110 6.232 2.133
Li 2.128 2.119 6.245
Li 4.097 0.060 4.172
Li 4.146 4.118 0.009
Li 6.181 2.126 2.118
Li 6.243 6.270 6.256
Co 1.047 3.084 1.079
Co 1.073 1.057 3.114
Co 1.129 5.215 7.259
Co 1.174 7.288 5.146
Co 3.078 1.067 1.055
Co 3.160 7.310 7.252
Co 3.147 5.205 5.193
Co 3.155 3.134 3.146
Co 5.126 1.139 7.261
Co 5.136 3.153 5.245
Co 5.198 7.262 1.071
Co 5.199 5.253 3.151
Co 7.206 1.098 5.180
Co 7.260 7.260 3.121
Co 7.252 3.154 7.258
Co 7.247 5.152 1.087
O 0.957 5.006 1.034
O 1.044 3.202 7.469
O 1.046 0.955 5.038
O 1.123 7.445 3.273
O 1.132 2.945 2.976
O 1.221 7.257 7.040
O 1.155 1.160 1.181
O 1.264 5.360 5.225
O 2.941 2.955 1.110
O 2.952 1.116 2.941
O 3.036 7.119 5.227
O 3.077 5.296 7.094
O 3.178 5.099 3.317
O 3.209 7.443 1.003
O 3.257 1.112 7.440
O 3.259 3.287 5.157
O 5.016 5.070 5.194
O 4.996 1.019 0.920
O 5.107 7.518 7.298
O 5.085 3.223 3.336
O 5.200 3.017 7.112
O 5.184 1.251 5.340
O 5.286 7.171 3.092
O 5.363 5.248 1.116
O 7.014 1.184 7.174
O 7.018 3.114 5.265
O 7.181 7.072 1.157
O 7.197 5.266 2.940
O 7.343 5.120 7.440
O 7.373 3.238 1.039
O 7.390 1.028 3.218
O 7.479 7.324 5.094
```

=====

Record 6
First-principles (PBE+U) data for LiCo2O4 after structural relaxation, as listed in the Materials Project database.

Summary:
M_tot in μB per atom: 0.71
Space group: P4_322 (95)
Total DFT energy (no corrections) in eV/atom: -5.650
Formation energy from the elements in eV per formula unit: -9.7

```
28
Lattice="5.702 0.000 0.000 0.000 5.702 0.000 0.000 0.000 8.096" Properties=species:S:1:pos:R:3 pbc="T T T"
Li 0.000 1.379 0.000
Li 0.000 4.323 4.048
Li 1.379 0.000 2.024
Li 4.323 0.000 6.072
Co 1.397 2.851 2.024
Co 1.455 1.455 5.060
Co 1.455 4.246 7.084
Co 2.851 1.397 0.000
Co 2.851 4.305 4.048
Co 4.246 1.455 3.036
Co 4.246 4.246 1.012
Co 4.305 2.851 6.072
O 0.077 1.520 2.109
O 0.077 4.182 1.939
O 1.507 2.780 0.123
O 1.507 2.922 3.925
O 1.520 0.077 8.011
O 1.520 5.625 4.133
O 2.780 1.507 1.901
O 2.780 4.195 2.147
O 2.922 1.507 6.195
O 2.922 4.195 5.949
O 4.182 0.077 0.085
O 4.182 5.625 3.963
O 4.195 2.780 7.973
O 4.195 2.922 4.171
O 5.625 1.520 5.987
O 5.625 4.182 6.157
```

=====

Record 7
First-principles (PBE+U) data for Li19Co4O16 after structural relaxation, as listed in the Materials Project database.

Summary:
M_tot in μB per atom: 0.28
Space group: Pm (6)
Total DFT energy (no corrections) in eV/atom: -5.078
Formation energy from the elements in eV per formula unit: -71.7

```
39
Lattice="7.184 0.000 0.000 0.000 6.725 0.000 -0.019 0.000 7.869" Properties=species:S:1:pos:R:3 pbc="T T T"
Li 0.000 0.000 0.000
Li 0.017 0.000 2.509
Li 0.086 3.363 6.466
Li 0.110 3.363 4.042
Li 1.844 1.655 1.963
Li 1.844 5.070 1.963
Li 1.836 1.755 7.044
Li 1.836 4.971 7.044
Li 2.010 1.730 4.513
Li 2.010 4.996 4.513
Li 3.640 0.000 1.190
Li 3.706 0.000 3.675
Li 3.753 3.363 5.321
Li 5.188 1.706 0.608
Li 5.188 5.019 0.608
Li 5.460 1.595 5.646
Li 5.460 5.130 5.646
Li 5.560 1.654 3.114
Li 5.560 5.071 3.114
Co 0.247 0.000 4.941
Co 3.547 0.000 6.613
Co 3.752 3.363 2.791
Co 7.105 3.363 1.062
O 0.342 1.706 5.616
O 0.342 5.019 5.616
O 1.437 3.363 0.199
O 1.635 0.000 3.581
O 1.990 3.363 3.481
O 2.069 0.000 0.035
O 3.428 1.636 5.819
O 3.428 5.090 5.819
O 3.885 1.640 2.131
O 3.885 5.085 2.131
O 5.196 0.000 7.565
O 5.273 3.363 4.050
O 5.719 0.000 4.097
O 5.816 3.363 7.709
O 6.978 1.686 1.679
O 6.978 5.039 1.679
```

=====

Record 8
First-principles (PBE+U) data for LiCo2O4 after structural relaxation, as listed in the Materials Project database.

Summary:
M_tot in μB per atom: 0.14
Space group: C2/c (15)
Total DFT energy (no corrections) in eV/atom: -5.723
Formation energy from the elements in eV per formula unit: -10.2

```
14
Lattice="4.967 -2.825 0.000 4.967 2.825 0.000 -0.024 0.000 4.897" Properties=species:S:1:pos:R:3 pbc="T T T"
Li 4.949 1.980 3.672
Li 4.961 -1.980 1.224
Co 2.554 0.712 1.203
Co 2.542 -0.712 3.651
Co 7.369 0.712 1.246
Co 7.356 -0.712 3.694
O 1.500 0.661 2.805
O 3.448 0.753 4.442
O 1.513 -0.661 0.357
O 3.461 -0.753 1.993
O 6.450 0.753 2.903
O 8.398 0.661 4.540
O 6.462 -0.753 0.455
O 8.410 -0.661 2.092
```

=====

Record 9
First-principles (PBE+U) data for Li2CoO3 after structural relaxation, as listed in the Materials Project database.

Summary:
M_tot in μB per atom: 0.17
Space group: C2/m (12)
Total DFT energy (no corrections) in eV/atom: -5.360
Formation energy from the elements in eV per formula unit: -10.1

```
12
Lattice="7.387 -1.487 0.000 7.387 1.487 0.000 -1.399 0.000 4.794" Properties=species:S:1:pos:R:3 pbc="T T T"
Li 0.000 0.000 0.000
Li 1.771 0.000 2.378
Li 6.687 0.000 2.397
Li 11.604 0.000 2.416
Co 5.010 0.000 0.034
Co 8.364 0.000 4.760
O 0.258 0.000 3.656
O 3.405 0.000 1.035
O 4.916 0.000 3.697
O 8.458 0.000 1.097
O 9.969 0.000 3.760
O 13.117 0.000 1.138
```

=====

Which of these has the lowest formation energy from the elements? Li21Co4O16